Entry 1:
An optimized crystal structure of KSmS2, computed with PBE.

The structure in CIF format:
```
data_KSmS2
_chemical_formula_sum 'K3 Sm3 S6'
_symmetry_space_group_name_H-M 'R -3 m'
_symmetry_Int_Tables_number 166
_symmetry_space_group_name_Hall '-R 3 2"'
_cell_length_a 4.1461
_cell_length_b 4.1461
_cell_length_c 22.1569
_cell_angle_alpha 90.00
_cell_angle_beta 90.00
_cell_angle_gamma 120.00
loop_
_atom_site_label
_atom_site_fract_x
_atom_site_fract_y
_atom_site_fract_z
K1 0.0000 0.0000 0.0000
Sm1 0.0000 0.0000 0.5000
S1 0.0000 0.0000 0.2351
```

Output
Formation energy from the elements   -2.110 eV/atom

=====

Entry 2:
An optimized crystal structure of KSnS4, computed with PBE.

The structure in CIF format:
```
data_KSnS4
_chemical_formula_sum 'K8 Sn8 S32'
_symmetry_space_group_name_H-M 'P 1 21/c 1'
_symmetry_Int_Tables_number 14
_cell_length_a 9.7923
_cell_length_b 10.1460
_cell_length_c 14.7966
_cell_angle_alpha 90.00
_cell_angle_beta 111.49
_cell_angle_gamma 90.00
loop_
_symmetry_equiv_pos_as_xyz
'x,y,z'
'-x,-y,-z'
'-x,y+1/2,-z+1/2'
'x,-y+1/2,z+1/2'
loop_
_atom_site_label
_atom_site_fract_x
_atom_site_fract_y
_atom_site_fract_z
K1 0.1256 0.2262 0.0941
K2 0.3563 0.6375 0.2030
Sn1 0.3116 0.0000 0.4056
Sn2 0.4862 0.6727 0.5166
S1 0.0065 0.6428 0.6953
S2 0.0387 0.6562 0.2269
S3 0.0488 0.0592 0.4032
S4 0.2101 0.5661 0.7199
S5 0.2450 0.7250 0.9638
S6 0.3474 0.2283 0.3341
S7 0.4201 0.0414 0.0856
S8 0.4354 0.1008 0.5764
```

Output
Formation energy from the elements   -0.904 eV/atom